Record 1
VASP calculation (GGA+U) on Sr2FeMoO6 after structural relaxation.

Output
* calculated density: 5.45 g cm⁻³
* relative energy among the computed polymorphs: 2.5 meV/atom
* space group: P1
* MP2020-corrected energy: -7.7689 eV per atom
* formation energy: -244.2 kJ/mol of atoms

Structure (CIF):
```
data_Sr2FeMoO6
_cell_length_a 5.665
_cell_length_b 5.672
_cell_length_c 40.086
_cell_angle_alpha 89.98
_cell_angle_beta 89.95
_cell_angle_gamma 89.89
_symmetry_space_group_name_H-M 'P 1'
_symmetry_Int_Tables_number 1
loop_
_symmetry_equiv_pos_as_xyz
'x,y,z'
loop_
_atom_site_label
_atom_site_fract_x
_atom_site_fract_y
_atom_site_fract_z
Sr1 0.000 0.000 0.000
Sr2 0.000 0.000 0.099
Sr3 0.000 0.000 0.198
Sr4 0.000 0.000 0.298
Sr5 0.000 0.000 0.398
Sr6 0.000 0.000 0.498
Sr7 0.000 0.000 0.596
Sr8 0.000 0.000 0.799
Sr9 0.000 0.002 0.897
Sr10 0.499 0.499 0.000
Sr11 0.499 0.500 0.699
Sr12 0.499 0.501 0.898
Sr13 0.500 0.500 0.099
Sr14 0.500 0.500 0.198
Sr15 0.500 0.500 0.298
Sr16 0.500 0.500 0.398
Sr17 0.500 0.500 0.498
Sr18 0.500 0.500 0.597
Sr19 0.501 0.500 0.799
Sr20 0.998 0.000 0.699
Fe1 0.000 0.499 0.049
Fe2 0.000 0.500 0.248
Fe3 0.000 0.500 0.448
Fe4 0.499 0.001 0.947
Fe5 0.500 0.000 0.148
Fe6 0.500 0.000 0.348
Fe7 0.500 0.000 0.548
Fe8 0.500 0.001 0.850
Fe9 0.999 0.500 0.649
Fe10 0.999 0.500 0.747
Mo1 0.000 0.500 0.148
Mo2 0.000 0.500 0.348
Mo3 0.000 0.500 0.548
Mo4 0.000 0.500 0.847
Mo5 0.000 0.501 0.949
Mo6 0.499 0.000 0.647
Mo7 0.499 0.000 0.749
Mo8 0.500 0.000 0.248
Mo9 0.500 0.000 0.448
Mo10 0.501 0.999 0.049
O1 0.000 0.495 0.799
O2 0.000 0.500 0.100
O3 0.000 0.500 0.197
O4 0.000 0.500 0.300
O5 0.000 0.500 0.397
O6 0.000 0.500 0.499
O7 0.000 0.500 0.597
O8 0.001 0.499 0.999
O9 0.002 0.500 0.897
O10 0.206 0.225 0.948
O11 0.211 0.211 0.547
O12 0.211 0.785 0.848
O13 0.212 0.786 0.248
O14 0.212 0.786 0.448
O15 0.213 0.786 0.049
O16 0.214 0.211 0.348
O17 0.214 0.212 0.148
O18 0.216 0.799 0.648
O19 0.222 0.206 0.748
O20 0.284 0.713 0.749
O21 0.286 0.288 0.248
O22 0.286 0.288 0.448
O23 0.286 0.288 0.848
O24 0.287 0.286 0.049
O25 0.287 0.715 0.949
O26 0.288 0.712 0.548
O27 0.288 0.714 0.148
O28 0.288 0.714 0.348
O29 0.296 0.295 0.648
O30 0.498 0.002 0.899
O31 0.499 0.001 0.698
O32 0.500 0.000 0.200
O33 0.500 0.000 0.297
O34 0.500 0.000 0.400
O35 0.500 0.000 0.496
O36 0.500 0.000 0.598
O37 0.501 0.999 0.097
O38 0.502 0.995 0.799
O39 0.502 0.999 0.000
O40 0.703 0.706 0.648
O41 0.711 0.288 0.548
O42 0.712 0.286 0.148
O43 0.712 0.286 0.348
O44 0.713 0.285 0.949
O45 0.714 0.287 0.749
O46 0.714 0.711 0.248
O47 0.714 0.712 0.049
O48 0.714 0.712 0.448
O49 0.715 0.713 0.849
O50 0.778 0.793 0.749
O51 0.783 0.201 0.648
O52 0.786 0.788 0.148
O53 0.786 0.788 0.348
O54 0.788 0.212 0.049
O55 0.788 0.214 0.248
O56 0.788 0.214 0.448
O57 0.788 0.216 0.848
O58 0.788 0.789 0.547
O59 0.794 0.774 0.948
O60 0.999 0.502 0.698
```

=====

Record 2
VASP calculation (GGA+U) on Sr4Fe3MoO12 after structural relaxation.

Output
* calculated density: 5.35 g cm⁻³
* relative energy among the computed polymorphs: 7.0 meV/atom
* space group: Im-3m
* MP2020-corrected energy: -7.5427 eV per atom
* formation energy: -233.8 kJ/mol of atoms

Structure (CIF):
```
data_Sr4Fe3MoO12
_cell_length_a 6.876
_cell_length_b 6.876
_cell_length_c 6.876
_cell_angle_alpha 109.47
_cell_angle_beta 109.47
_cell_angle_gamma 109.47
_symmetry_space_group_name_H-M 'P 1'
_symmetry_Int_Tables_number 1
loop_
_symmetry_equiv_pos_as_xyz
'x,y,z'
loop_
_atom_site_label
_atom_site_fract_x
_atom_site_fract_y
_atom_site_fract_z
Sr1 0.000 0.000 0.500
Sr2 0.000 0.500 0.000
Sr3 0.500 0.000 0.000
Sr4 0.500 0.500 0.500
Fe1 0.000 0.500 0.500
Fe2 0.500 0.000 0.500
Fe3 0.500 0.500 0.000
Mo1 0.000 0.000 0.000
O1 0.000 0.243 0.243
O2 0.000 0.757 0.757
O3 0.243 0.000 0.243
O4 0.243 0.243 0.000
O5 0.250 0.500 0.750
O6 0.250 0.750 0.500
O7 0.500 0.250 0.750
O8 0.500 0.750 0.250
O9 0.750 0.250 0.500
O10 0.750 0.500 0.250
O11 0.757 0.000 0.757
O12 0.757 0.757 0.000
```

=====

Among the records above, which one has the lowest relative energy among the computed polymorphs? Sr2FeMoO6

=====

Which of these has the lowest relative energy among the computed polymorphs? Sr2FeMoO6

=====

Which of these has the highest formation energy? Sr4Fe3MoO12